! Gd3Y13O24 PBE-GGA optimized geometry; values from VASP
! crystal system = triclinic
! calculated total energy = -9.67 eV/atom
! space group = P1 (1)
! formation enthalpy at 0 K = -3956 meV/atom
&SYSTEM
  ibrav = 0, nat = 40, ntyp = 3
/
ATOMIC_SPECIES
Gd 157.25 Gd.upf
Y 88.91 Y.upf
O 16.00 O.upf
CELL_PARAMETERS angstrom
9.2853 0.0000 0.0000
-3.0947 8.7658 0.0000
-3.0951 -4.3829 7.5914
ATOMIC_POSITIONS angstrom
Gd -1.3522 7.5294 1.6577
Gd 4.8458 -0.1455 4.0409
Gd 4.4417 3.0110 5.6908
Y -1.5473 4.3742 0.0050
Y -1.3462 1.3882 1.8968
Y 1.7507 2.0600 0.2515
Y -1.7465 4.5235 3.5486
Y 4.4357 -3.1447 5.9469
Y 4.4399 3.4391 2.1372
Y 1.5381 2.2027 3.7945
Y -4.6406 6.5733 3.7960
Y 1.3407 -1.3859 5.7023
Y -1.5407 4.3855 7.5870
Y 1.7553 5.7610 1.8918
Y -1.3359 0.9488 5.4446
Y 1.3364 2.3335 7.3397
O 6.6717 3.2851 1.7340
O 4.1037 2.2366 0.2408
O 6.6589 6.4130 0.0830
O -0.7425 2.5167 3.8813
O 4.0987 5.6692 1.7385
O -0.8717 5.1965 5.5374
O 0.7335 -1.9663 3.5771
O 0.8645 0.8432 2.0651
O 3.5699 -0.9630 5.7951
O 2.0912 3.5203 1.9775
O -3.9601 4.3971 4.0957
O 6.9287 0.0922 0.3242
O 7.0865 -0.0086 3.4733
O 1.0073 0.8642 5.6067
O -3.8240 4.3186 7.2713
O -0.4755 5.3171 1.8212
O 2.3610 6.3205 4.0349
O 2.1983 3.5620 5.5297
O -1.0077 -1.2816 5.8530
O 3.9841 -0.8278 2.0331
O -3.5764 -2.0509 7.5081
O 3.8207 1.8807 3.6945
O -1.0025 2.1484 7.3468
O -3.5638 1.0871 5.8743

! Gd3YO6 PBE-GGA optimized geometry; values from VASP
! crystal system = trigonal
! M_tot = 21.00 μB per formula unit
! calculated total energy = -11.32 eV/atom
! space group = R-3 (148)
! formation enthalpy at 0 K = -3898 meV/atom
! offset from the most stable computed form = 0 meV per atom
&SYSTEM
  ibrav = 0, nat = 20, ntyp = 3
/
ATOMIC_SPECIES
Gd 157.25 Gd.upf
Y 88.91 Y.upf
O 16.00 O.upf
CELL_PARAMETERS angstrom
-2.9468 5.7466 2.2017
0.8452 -2.2544 6.3842
6.1662 2.9212 -0.0024
ATOMIC_POSITIONS angstrom
Gd 1.3221 3.4821 7.6293
Gd 5.1042 3.5997 5.7506
Gd 1.8382 -0.1578 3.6906
Gd 2.2263 6.5712 4.8930
Gd -1.0397 2.8137 2.8330
Gd 2.7424 2.9313 0.9543
Y 0.0000 0.0000 0.0000
Y 2.0323 3.2067 4.2918
O 2.5001 -0.7326 5.9433
O -0.6630 2.1139 7.4549
O 3.0086 2.6067 6.2371
O 6.0483 1.7063 4.5815
O 0.9928 4.7029 5.6255
O 0.4076 1.6390 4.2731
O 3.6569 4.7745 4.3105
O 3.0717 1.7105 2.9581
O -1.9838 4.7072 4.0021
O 1.0559 3.8067 2.3464
O 4.7275 4.2996 1.1287
O 1.5644 7.1460 2.6403

! Gd3YO6 PBE-GGA optimized geometry; values from VASP
! crystal system = orthorhombic
! M_tot = 21.00 μB per formula unit
! calculated total energy = -11.25 eV/atom
! space group = Cmc2_1 (36)
! formation enthalpy at 0 K = -3824 meV/atom
! offset from the most stable computed form = 73 meV per atom
&SYSTEM
  ibrav = 0, nat = 20, ntyp = 3
/
ATOMIC_SPECIES
Gd 157.25 Gd.upf
Y 88.91 Y.upf
O 16.00 O.upf
CELL_PARAMETERS angstrom
4.5596 -5.6599 0.0000
4.5596 5.6599 0.0000
0.0000 0.0000 5.7838
ATOMIC_POSITIONS angstrom
Gd 1.8314 1.2724 2.6869
Gd 1.8314 -1.2724 5.5788
Gd 4.5596 -1.1556 2.3757
Gd 4.5596 1.1556 5.2676
Gd 7.2878 1.2724 2.6869
Gd 7.2878 -1.2724 5.5788
Y 4.5596 -3.8095 5.6572
Y 4.5596 3.8095 2.7653
O 3.0817 0.2009 1.0555
O 3.0817 -0.2009 3.9474
O 3.0891 -2.7213 1.0240
O 3.0891 2.7213 3.9159
O 4.5596 -5.4737 1.4584
O 4.5596 -3.1417 3.5750
O 4.5596 3.1417 0.6830
O 4.5596 5.4737 4.3503
O 6.0301 -2.7213 1.0240
O 6.0301 2.7213 3.9159
O 6.0376 0.2009 1.0555
O 6.0376 -0.2009 3.9474

! GdZrO3 PBE-GGA optimized geometry; values from VASP
! crystal system = cubic
! M_tot = 6.65 μB per formula unit
! calculated total energy = -10.36 eV/atom
! space group = Pm-3m (221)
! formation enthalpy at 0 K = -3280 meV/atom
&SYSTEM
  ibrav = 0, nat = 5, ntyp = 3
/
ATOMIC_SPECIES
Gd 157.25 Gd.upf
Zr 91.22 Zr.upf
O 16.00 O.upf
CELL_PARAMETERS angstrom
-0.8901 1.2336 3.8744
-3.4180 -2.3752 -0.0290
2.2023 -3.1878 1.5209
ATOMIC_POSITIONS angstrom
Gd 0.0000 0.0000 0.0000
Zr -1.0529 -2.1647 2.6832
O -2.1540 -0.5708 1.9227
O 0.6561 -0.9771 2.6977
O -0.6078 -2.7815 0.7459

! Gd8Zr7O26 PBE-GGA optimized geometry; values from VASP
! crystal system = monoclinic
! M_tot = 0.00 μB per formula unit
! calculated total energy = -10.66 eV/atom
! space group = C2/m (12)
! formation enthalpy at 0 K = -3751 meV/atom
&SYSTEM
  ibrav = 0, nat = 41, ntyp = 3
/
ATOMIC_SPECIES
Gd 157.25 Gd.upf
Zr 91.22 Zr.upf
O 16.00 O.upf
CELL_PARAMETERS angstrom
7.4747 -3.8524 -9.6635
9.3103 3.3748 -8.1256
13.4360 -2.2830 -5.3077
ATOMIC_POSITIONS angstrom
Gd 0.0000 0.0000 0.0000
Gd 11.3731 0.5459 -6.7166
Gd 26.9604 -2.2193 -21.7486
Gd 10.4554 -3.0677 -7.4856
Gd 4.6551 1.6874 -4.0628
Gd 3.7374 -1.9262 -4.8317
Gd 6.7180 -1.1415 -2.6538
Gd 3.2605 -0.5412 -1.3481
Zr 18.4847 -1.9984 -12.6708
Zr 15.1105 -1.3803 -11.5484
Zr 8.2086 1.0837 -5.5105
Zr 11.7363 -0.7622 -10.4259
Zr 7.2951 -2.5131 -6.2759
Zr 22.0124 -3.8442 -17.5862
Zr 22.9259 -0.2474 -16.8208
O 11.2461 -1.5998 -5.9047
O 8.0374 -0.9866 -4.9565
O 8.3812 -2.2332 -7.9222
O 4.6019 -0.4779 -3.2469
O 18.8388 -3.9275 -12.0693
O 9.2007 0.9933 -7.2356
O 19.6220 -0.8437 -11.4131
O 14.5528 -2.0974 -7.5126
O 17.1293 -1.9583 -11.2415
O 17.6630 -2.9559 -14.3341
O 14.8186 -3.2169 -10.5374
O 14.6263 -2.5995 -13.2096
O 11.8623 -2.5442 -9.3456
O 15.5947 -0.1611 -9.8871
O 18.3587 -0.2164 -13.7511
O 12.5580 0.1953 -8.7627
O 15.6682 -0.6631 -15.5841
O 13.0917 -0.8022 -11.8553
O 15.4024 0.4564 -12.5593
O 10.5990 -1.9168 -11.6837
O 21.0203 -3.7539 -15.8612
O 11.3822 1.1669 -11.0275
O 25.6191 -2.2827 -19.8499
O 21.8398 -0.5273 -15.1746
O 22.1836 -1.7740 -18.1402
O 18.9749 -1.1608 -17.1921

! GdOs2 PBE-GGA optimized geometry; values from VASP
! crystal system = hexagonal
! calculated total energy = -12.43 eV/atom
! space group = P6_3/mmc (194)
! formation enthalpy at 0 K = -252 meV/atom
&SYSTEM
  ibrav = 0, nat = 12, ntyp = 2
/
ATOMIC_SPECIES
Gd 157.25 Gd.upf
Os 190.23 Os.upf
CELL_PARAMETERS angstrom
-4.5950 1.6551 -2.1740
0.0284 -2.0938 4.9189
1.2906 8.1045 3.4423
ATOMIC_POSITIONS angstrom
Gd -0.9525 2.6737 4.0487
Gd -2.3234 4.9922 2.1384
Gd -1.8484 7.9755 3.4056
Gd -1.4276 -0.3097 2.7816
Os 0.6453 4.0522 1.7212
Os 0.0000 0.0000 0.0000
Os -3.4791 3.0381 -0.0966
Os -3.4653 2.0219 2.2906
Os -1.2491 2.2348 0.9585
Os 0.2032 4.6278 6.2837
Os 0.1894 5.6439 3.8965
Os -2.0269 5.4310 5.2286